## Ce2CdPd2 (PBE)

Data for a relaxed Ce2CdPd2 crystal.

Cell lengths 7.8292, 7.8292, 3.8333 Å; angles 90.00, 90.00, 90.00 degrees
Closest atoms and distances in Å follow each position.
Fractional positions:
Ce1 0.1724 0.3276 0.0000  6 Pd 2.91-3.07
Ce2 0.3276 0.8276 0.0000  6 Pd 2.91-3.07
Ce3 0.6724 0.1724 0.0000  6 Pd 2.91-3.07
Ce4 0.8276 0.6724 0.0000  6 Pd 2.91-3.07
Cd1 0.0000 0.0000 0.5000  4 Pd 3.07
Cd2 0.5000 0.5000 0.5000  4 Pd 3.07
Pd1 0.1303 0.6303 0.5000  1 Pd 2.89, 6 Ce 2.91-3.07, 2 Cd 3.07
Pd2 0.3697 0.1303 0.5000  1 Pd 2.89, 6 Ce 2.91-3.07, 2 Cd 3.07
Pd3 0.6303 0.8697 0.5000  1 Pd 2.89, 6 Ce 2.91-3.07, 2 Cd 3.07
Pd4 0.8697 0.3697 0.5000  1 Pd 2.89, 6 Ce 2.91-3.07, 2 Cd 3.07

E, eV/cell: -52.90